a | DFT (PBE-GGA) results for crystalline SnCCl3 at its relaxed geometry.

Lattice parameters (Å, degrees): 7.1833 7.1833 3.8908 92.90 92.90 123.68
With the nearest neighbours (Å) after each atom.
Fractional coordinates of all 5 atoms:
Sn: 0.0000 0.0000 0.0000  2 C 2.13-2.18, 1 Cl 2.34
C: 0.8634 0.8634 0.4674  2 Sn 2.13-2.18
Cl: 0.1112 0.7581 0.3014  1 C 2.39, 1 Sn 2.59
Cl: 0.3462 0.3462 0.0175  1 Sn 2.34
Cl: 0.7581 0.1112 0.3014  1 C 2.39, 1 Sn 2.59

***

b | DFT (PBE-GGA) results for crystalline SnCCl3 at its relaxed geometry.

Lattice parameters (Å, degrees): 5.2691 5.2691 5.2691 90.00 90.00 90.00
With the nearest neighbours (Å) after each atom.
Fractional coordinates of all 5 atoms:
Sn: 0.0000 0.0000 0.0000  6 Cl 2.63
C: 0.5000 0.5000 0.5000  12 Cl 3.73
Cl: 0.0000 0.0000 0.5000  2 Sn 2.63
Cl: 0.0000 0.5000 0.0000  2 Sn 2.63
Cl: 0.5000 0.0000 0.0000  2 Sn 2.63

***

c | DFT (PBE-GGA) results for crystalline SnCCl3 at its relaxed geometry.

Lattice parameters (Å, degrees): 4.9975 4.9975 4.9975 80.06 80.06 80.06
With the nearest neighbours (Å) after each atom.
Fractional coordinates of all 5 atoms:
Sn: 0.0000 0.0000 0.0000  6 Cl 3.22
C: 0.4316 0.4316 0.4316  3 Cl 1.89
Cl: 0.0438 0.5011 0.5011  1 C 1.89
Cl: 0.5011 0.0438 0.5011  1 C 1.89
Cl: 0.5011 0.5011 0.0438  1 C 1.89

***

Which structure above is the least stable one? b is the least stable one.